Version i
# Ce15B8N25

A relaxed structure of Ce15B8N25 (PBE-GGA, Materials Project).

Magnetic moment = 0.16 μB/atom

Cell and atoms, written as CIF:
```
data_Ce15B8N25
_cell_length_a 14.0910
_cell_length_b 14.0910
_cell_length_c 22.4300
_cell_angle_alpha 90.00
_cell_angle_beta 90.00
_cell_angle_gamma 120.00
_symmetry_space_group_name_H-M 'R -3 c'
_symmetry_Int_Tables_number 167
_symmetry_space_group_name_Hall '-R 3 2"c'
loop_
_atom_site_label
_atom_site_type_symbol
_atom_site_fract_x
_atom_site_fract_y
_atom_site_fract_z
_atom_site_occupancy
Ce1 Ce 0.0000 0.1439 0.2500 1
Ce2 Ce 0.0096 0.2678 0.8404 1
Ce3 Ce 0.0212 0.1575 0.0636 1
B1 B 0.0000 0.0000 0.1580 1
B2 B 0.0266 0.4684 0.6201 1
N1 N 0.0000 0.0000 0.0000 1
N2 N 0.0041 0.2048 0.9516 1
N3 N 0.0085 0.4836 0.4271 1
N4 N 0.0436 0.4597 0.8263 1
N5 N 0.0825 0.1878 0.1584 1
```

=====

Version ii
# Ce15B8N25

A relaxed structure of Ce15B8N25 (PBE-GGA, Materials Project).

Magnetic moment = 0.05 μB/atom

Cell and atoms, written as CIF:
```
data_Ce15B8N25
_cell_length_a 14.1337
_cell_length_b 14.1337
_cell_length_c 20.8812
_cell_angle_alpha 90.00
_cell_angle_beta 90.00
_cell_angle_gamma 120.00
_symmetry_space_group_name_H-M 'R -3 c'
_symmetry_Int_Tables_number 167
_symmetry_space_group_name_Hall '-R 3 2"c'
loop_
_atom_site_label
_atom_site_type_symbol
_atom_site_fract_x
_atom_site_fract_y
_atom_site_fract_z
_atom_site_occupancy
Ce1 Ce 0.0000 0.1487 0.2500 1
Ce2 Ce 0.0025 0.2624 0.8381 1
Ce3 Ce 0.0187 0.1606 0.0709 1
B1 B 0.0000 0.0000 0.1646 1
B2 B 0.0258 0.4644 0.6267 1
N1 N 0.0000 0.0000 0.0000 1
N2 N 0.0010 0.2062 0.5439 1
N3 N 0.0067 0.4807 0.4222 1
N4 N 0.0201 0.1115 0.8350 1
N5 N 0.0493 0.4588 0.8202 1
```

=====

version ii wins, 483 meV/atom ahead of the next structure.

=====

Version i
# CeB3O6

A relaxed structure of CeB3O6 (PBE-GGA, Materials Project).

Cell and atoms, written as CIF:
```
data_CeB3O6
_cell_length_a 4.263
_cell_length_b 11.810
_cell_length_c 7.308
_cell_angle_alpha 90.00
_cell_angle_beta 91.36
_cell_angle_gamma 90.00
_symmetry_space_group_name_H-M 'P 1 21/c 1'
_symmetry_Int_Tables_number 14
_symmetry_space_group_name_Hall '-P 2ybc'
loop_
_atom_site_label
_atom_site_type_symbol
_atom_site_fract_x
_atom_site_fract_y
_atom_site_fract_z
_atom_site_occupancy
Ce1 Ce 0.214 0.120 0.381 1
B1 B 0.194 0.094 0.874 1
B2 B 0.312 0.622 0.426 1
B3 B 0.325 0.667 0.788 1
O1 O 0.155 0.627 0.610 1
O2 O 0.204 0.524 0.317 1
O3 O 0.220 0.715 0.306 1
O4 O 0.253 0.591 0.939 1
O5 O 0.331 0.169 0.736 1
O6 O 0.349 0.119 0.048 1
```

=====

Version ii
# CeB3O6

A relaxed structure of CeB3O6 (PBE-GGA, Materials Project).

Magnetic moment = 0.10 μB/atom

Cell and atoms, written as CIF:
```
data_CeB3O6
_cell_length_a 18.615
_cell_length_b 4.500
_cell_length_c 4.316
_cell_angle_alpha 90.00
_cell_angle_beta 90.00
_cell_angle_gamma 90.00
_symmetry_space_group_name_H-M 'P c a 21'
_symmetry_Int_Tables_number 29
_symmetry_space_group_name_Hall 'P 2c -2ac'
loop_
_atom_site_label
_atom_site_type_symbol
_atom_site_fract_x
_atom_site_fract_y
_atom_site_fract_z
_atom_site_occupancy
Ce1 Ce 0.159 0.198 0.000 1
B1 B 0.002 0.823 0.956 1
B2 B 0.073 0.675 0.481 1
B3 B 0.213 0.646 0.500 1
O1 O 0.016 0.871 0.312 1
O2 O 0.061 0.362 0.406 1
O3 O 0.068 0.733 0.815 1
O4 O 0.144 0.768 0.371 1
O5 O 0.209 0.323 0.493 1
O6 O 0.224 0.754 0.820 1
```

=====

version i wins, 39 meV/atom ahead of the next structure.